{"formula": "NaBrO3", "functional": "PBE-GGA", "state": "optimized geometry", "lattice_angstrom": [[7.779, 0.000, 0.000], [0.000, 7.779, 0.000], [0.000, 0.000, 7.779]], "species": ["Na", "Na", "Na", "Na", "Br", "Br", "Br", "Br", "O", "O", "O", "O", "O", "O", "O", "O", "O", "O", "O", "O"], "frac_coords": [[0.001, 0.001, 0.001], [0.499, 0.999, 0.501], [0.501, 0.499, 0.999], [0.999, 0.501, 0.499], [0.051, 0.551, 0.949], [0.449, 0.449, 0.449], [0.551, 0.949, 0.051], [0.949, 0.051, 0.551], [0.048, 0.109, 0.735], [0.109, 0.735, 0.048], [0.235, 0.452, 0.891], [0.265, 0.548, 0.391], [0.391, 0.265, 0.548], [0.452, 0.891, 0.235], [0.548, 0.391, 0.265], [0.609, 0.765, 0.952], [0.735, 0.048, 0.109], [0.765, 0.952, 0.609], [0.891, 0.235, 0.452], [0.952, 0.609, 0.765]], "formation_enthalpy_0k_ev_per_atom": -0.8707, "crystal_system": "cubic", "energy_mp2020_ev_per_atom": -4.4314, "magnetic_moment_mub_per_cell": 0.0}